A plane-wave DFT calculation with PBE was carried out for an optimized crystal structure of Y2Zr2O7.

a b c (Å): 7.5012 7.5012 7.5012
angles (deg): 60.00 60.00 60.00
Sites, in units of the cell vectors:
Y 0.0000 0.0000 0.0000
Y 0.0000 0.0000 0.5000
Y 0.0000 0.5000 0.0000
Y 0.5000 0.0000 0.0000
Zr 0.0000 0.5000 0.5000
Zr 0.5000 0.0000 0.5000
Zr 0.5000 0.5000 0.0000
Zr 0.5000 0.5000 0.5000
O 0.1250 0.1250 0.1250
O 0.1594 0.1594 0.5906
O 0.1594 0.5906 0.1594
O 0.1594 0.5906 0.5906
O 0.4094 0.4094 0.8406
O 0.4094 0.8406 0.4094
O 0.4094 0.8406 0.8406
O 0.5906 0.1594 0.1594
O 0.5906 0.1594 0.5906
O 0.5906 0.5906 0.1594
O 0.8406 0.4094 0.4094
O 0.8406 0.4094 0.8406
O 0.8406 0.8406 0.4094
O 0.8750 0.8750 0.8750

## Properties
Crystal system   cubic
Space group   Fd-3m
Energy of formation   -3.850 eV per atom
Density   5255 kg/m³